Material: MgAu2F8
Method: DFT, PBE-GGA
State: relaxed

Summary:
**V**: 339.6 Å³ per cell
**Crystal system**: monoclinic
**Energy**: -3.826 eV/atom
**Calculated formation energy**: -2.0289 eV/atom

Structure (POSCAR):
```
MgAu2F8
1.0
5.8252 0.0000 0.0000
0.0000 5.6073 0.0000
0.0000 3.6941 10.3968
Au F Mg
4 16 2
direct
0.7238 0.8709 0.6716
0.7762 0.8709 0.1716
0.2238 0.1291 0.8284
0.2762 0.1291 0.3284
0.8179 0.1747 0.5284
0.1251 0.4255 0.6821
0.3179 0.8253 0.9716
0.7699 0.6630 0.0561
0.6821 0.1747 0.0284
0.2861 0.9265 0.2165
0.3749 0.4255 0.1821
0.8749 0.5745 0.3179
0.2699 0.3370 0.4439
0.2301 0.3370 0.9439
0.7301 0.6630 0.5561
0.7139 0.0735 0.7835
0.2139 0.9265 0.7165
0.6251 0.5745 0.8179
0.7861 0.0735 0.2835
0.1821 0.8253 0.4716
0.0000 0.5000 0.5000
0.5000 0.5000 0.0000
```